(1)
First-principles (GGA-PBE) data for a relaxed CaSiN2 crystal, as listed in Materials Project.

Computed properties:
**Volume**: 12.857 Å³ per atom
**Energy**: -7.201 eV per atom
**E_form**: -1.355 eV/atom
**ρ**: 3.11 g cm⁻³

abc: 6.1573 6.1573 6.8426
angles: 90.00 90.00 127.54
Last column: nearest neighbours and their distance in Å.
Fractional coordinates of all 16 atoms:
1 Ca 0.1759 0.8241 0.9276  1 N 2.34
2 Ca 0.3241 0.6759 0.4276  1 N 2.34
3 Ca 0.6759 0.3241 0.5724  1 N 2.34
4 Ca 0.8241 0.1759 0.0724  1 N 2.34
5 Si 0.0617 0.9383 0.3575  4 N 1.73-1.77
6 Si 0.4383 0.5617 0.8575  4 N 1.73-1.77
7 Si 0.5617 0.4383 0.1425  4 N 1.73-1.77
8 Si 0.9383 0.0617 0.6425  4 N 1.73-1.77
9 N 0.0974 0.9026 0.6101  2 Si 1.77
10 N 0.1192 0.3808 0.7500  2 Si 1.73
11 N 0.3808 0.1192 0.2500  2 Si 1.73
12 N 0.4026 0.5974 0.1101  2 Si 1.77
13 N 0.5974 0.4026 0.8899  2 Si 1.77
14 N 0.6192 0.8808 0.7500  2 Si 1.73
15 N 0.8808 0.6192 0.2500  2 Si 1.73
16 N 0.9026 0.0974 0.3899  2 Si 1.77

***

(2)
First-principles (GGA-PBE) data for a relaxed Y2In3Sn3 crystal, as listed in Materials Project.

Computed properties:
**Volume**: 25.847 Å³ per atom
**Energy**: -4.575 eV per atom
**E_form**: -0.423 eV/atom
**ρ**: 7.05 g cm⁻³

abc: 4.6926 4.6995 9.3764
angles: 90.00 90.00 90.00
Last column: nearest neighbours and their distance in Å.
Fractional coordinates of all 8 atoms:
1 Y 0.0000 0.0000 0.2480  6 Sn 3.30-3.33, 6 In 3.32-3.33
2 Y 0.0000 0.0000 0.7520  6 Sn 3.30-3.33, 6 In 3.32-3.33
3 In 0.0000 0.5000 0.5000  4 In 3.31, 4 Sn 3.32, 4 Y 3.33
4 In 0.5000 0.5000 0.2510  2 In 3.31, 6 Sn 3.31-3.33, 4 Y 3.32
5 In 0.5000 0.5000 0.7490  2 In 3.31, 6 Sn 3.31-3.33, 4 Y 3.32
6 Sn 0.0000 0.5000 0.0000  4 Y 3.31, 4 Sn 3.32, 4 In 3.32
7 Sn 0.5000 0.0000 0.0000  4 Y 3.30, 4 Sn 3.32, 4 In 3.33
8 Sn 0.5000 0.0000 0.5000  8 In 3.31-3.32, 4 Y 3.33

***

(3)
First-principles (GGA-PBE) data for a relaxed NaLi2TaF6 crystal, as listed in Materials Project.

Computed properties:
**Volume**: 15.493 Å³ per atom
**Energy**: -5.245 eV per atom
**E_form**: -2.674 eV/atom
**ρ**: 3.56 g cm⁻³

abc: 6.0286 6.0286 6.0286
angles: 60.00 60.00 60.00
Last column: nearest neighbours and their distance in Å.
Fractional coordinates of all 10 atoms:
1 Na 0.0000 0.0000 0.0000  6 F 2.22
2 Li 0.2500 0.2500 0.2500  12 F 3.02
3 Li 0.7500 0.7500 0.7500  12 F 3.02
4 Ta 0.5000 0.5000 0.5000  6 F 2.04
5 F 0.2604 0.2604 0.7396  1 Ta 2.04, 1 Na 2.22
6 F 0.2604 0.7396 0.2604  1 Ta 2.04, 1 Na 2.22
7 F 0.2604 0.7396 0.7396  1 Ta 2.04, 1 Na 2.22
8 F 0.7396 0.2604 0.2604  1 Ta 2.04, 1 Na 2.22
9 F 0.7396 0.2604 0.7396  1 Ta 2.04, 1 Na 2.22
10 F 0.7396 0.7396 0.2604  1 Ta 2.04, 1 Na 2.22

***

(4)
First-principles (GGA-PBE) data for a relaxed AlCu3 crystal, as listed in Materials Project.

Computed properties:
**Volume**: 12.432 Å³ per atom
**Energy**: -4.193 eV per atom
**E_form**: -0.183 eV/atom
**ρ**: 7.27 g cm⁻³

abc: 5.2073 5.2073 4.2352
angles: 90.00 90.00 120.00
Last column: nearest neighbours and their distance in Å.
Fractional coordinates of all 8 atoms:
1 Al 0.3333 0.6667 0.2500  12 Cu 2.60
2 Al 0.6667 0.3333 0.7500  12 Cu 2.60
3 Cu 0.1658 0.3317 0.7500  8 Cu 2.59-2.62, 4 Al 2.60
4 Cu 0.1658 0.8342 0.7500  8 Cu 2.59-2.62, 4 Al 2.60
5 Cu 0.3317 0.1658 0.2500  8 Cu 2.59-2.62, 4 Al 2.60
6 Cu 0.6683 0.8342 0.7500  8 Cu 2.59-2.62, 4 Al 2.60
7 Cu 0.8342 0.1658 0.2500  8 Cu 2.59-2.62, 4 Al 2.60
8 Cu 0.8342 0.6683 0.2500  8 Cu 2.59-2.62, 4 Al 2.60

***

(5)
First-principles (GGA-PBE) data for a relaxed Nb3AlCr8 crystal, as listed in Materials Project.

Computed properties:
**Volume**: 13.693 Å³ per atom
**Energy**: -9.340 eV per atom
**E_form**: -0.067 eV/atom
**ρ**: 7.29 g cm⁻³
**Energy relative to the lowest polymorph listed for this composition**: 0.0 meV per atom

abc: 8.4475 8.4475 8.4475
angles: 33.59 33.59 33.59
Last column: nearest neighbours and their distance in Å.
Fractional coordinates of all 12 atoms:
1 Nb 0.0000 0.0000 0.0000  12 Cr 2.86-2.87, 4 Nb 3.00-3.01
2 Nb 0.1261 0.1261 0.1261  12 Cr 2.82-2.87, 3 Al 2.98, 1 Nb 3.01
3 Nb 0.6235 0.6235 0.6235  12 Cr 2.85-2.91, 1 Al 2.95, 3 Nb 3.00
4 Al 0.5000 0.5000 0.5000  12 Cr 2.84-2.86, 4 Nb 2.95-2.98
5 Cr 0.0622 0.0622 0.5613  6 Cr 2.43-2.45
6 Cr 0.0622 0.5613 0.0622  6 Cr 2.43-2.45
7 Cr 0.0647 0.5623 0.5623  6 Cr 2.43-2.45
8 Cr 0.3124 0.3124 0.3124  6 Cr 2.45
9 Cr 0.5613 0.0622 0.0622  6 Cr 2.43-2.45
10 Cr 0.5623 0.0647 0.5623  6 Cr 2.43-2.45
11 Cr 0.5623 0.5623 0.0647  6 Cr 2.43-2.45
12 Cr 0.8125 0.8125 0.8125  6 Cr 2.43

***

(6)
First-principles (GGA-PBE) data for a relaxed Ba7Al13 crystal, as listed in Materials Project.

Computed properties:
**Volume**: 27.494 Å³ per atom
**Energy**: -3.324 eV per atom
**E_form**: -0.217 eV/atom
**ρ**: 3.96 g cm⁻³

abc: 6.0617 6.0617 17.2800
angles: 90.00 90.00 120.00
Last column: nearest neighbours and their distance in Å.
Fractional coordinates of all 20 atoms:
1 Ba 0.0000 0.0000 0.0000  12 Al 3.89-4.09, 6 Ba 3.97
2 Ba 0.0000 0.0000 0.3931  12 Al 3.50-3.59, 4 Ba 3.69-3.71
3 Ba 0.0000 0.0000 0.6069  12 Al 3.50-3.59, 4 Ba 3.69-3.71
4 Ba 0.3333 0.6667 0.6784  12 Al 3.53-3.54, 4 Ba 3.69-3.71
5 Ba 0.3333 0.6667 0.8920  10 Al 3.50-3.56, 1 Ba 3.69
6 Ba 0.6667 0.3333 0.1080  10 Al 3.50-3.56, 1 Ba 3.69
7 Ba 0.6667 0.3333 0.3216  12 Al 3.53-3.54, 4 Ba 3.69-3.71
8 Al 0.0000 0.5000 0.5000  6 Al 3.03-3.16
9 Al 0.1608 0.3216 0.2158  4 Al 2.72-2.92
10 Al 0.1608 0.8392 0.2158  4 Al 2.72-2.92
11 Al 0.3216 0.1608 0.7842  4 Al 2.72-2.92
12 Al 0.3333 0.6667 0.0981  3 Al 2.72
13 Al 0.3333 0.6667 0.3476  6 Al 2.91-3.16
14 Al 0.5000 0.0000 0.5000  6 Al 3.03-3.16
15 Al 0.5000 0.5000 0.5000  6 Al 3.03-3.16
16 Al 0.6667 0.3333 0.6524  6 Al 2.91-3.16
17 Al 0.6667 0.3333 0.9019  3 Al 2.72
18 Al 0.6784 0.8392 0.2158  4 Al 2.72-2.92
19 Al 0.8392 0.1608 0.7842  4 Al 2.72-2.92
20 Al 0.8392 0.6784 0.7842  4 Al 2.72-2.92

***

(7)
First-principles (GGA-PBE) data for a relaxed As2Se3 crystal, as listed in Materials Project.

Computed properties:
**Volume**: 25.678 Å³ per atom
**Energy**: -4.079 eV per atom
**E_form**: -0.401 eV/atom
**ρ**: 5.00 g cm⁻³

abc: 7.3304 7.3304 9.6251
angles: 94.52 94.52 29.88
Last column: nearest neighbours and their distance in Å.
Fractional coordinates of all 10 atoms:
1 As 0.1203 0.1203 0.4347  3 Se 2.45-2.55
2 As 0.2951 0.2951 0.8612  6 Se 2.58-2.85
3 As 0.7049 0.7049 0.1388  6 Se 2.58-2.85
4 As 0.8797 0.8797 0.5653  3 Se 2.45-2.55
5 Se 0.1344 0.1344 0.9693  3 As 2.58-2.64
6 Se 0.2737 0.2737 0.3349  1 As 2.45
7 Se 0.4597 0.4597 0.7094  3 As 2.55-2.85
8 Se 0.5403 0.5403 0.2906  3 As 2.55-2.85
9 Se 0.7263 0.7263 0.6651  1 As 2.45
10 Se 0.8656 0.8656 0.0307  3 As 2.58-2.64

***

(8)
First-principles (GGA-PBE) data for a relaxed Pm2CuPt crystal, as listed in Materials Project.

Computed properties:
**Volume**: 22.843 Å³ per atom
**Energy**: -5.559 eV per atom
**E_form**: -0.641 eV/atom
**ρ**: 9.97 g cm⁻³

abc: 5.0556 5.0556 5.0556
angles: 60.00 60.00 60.00
Last column: nearest neighbours and their distance in Å.
Fractional coordinates of all 4 atoms:
1 Pm 0.2500 0.2500 0.2500  4 Pt 3.10, 4 Cu 3.10
2 Pm 0.7500 0.7500 0.7500  4 Pt 3.10, 4 Cu 3.10
3 Cu 0.0000 0.0000 0.0000  8 Pm 3.10
4 Pt 0.5000 0.5000 0.5000  8 Pm 3.10